The following is a GGA+U calculation of Li2MnNiO4 after structural relaxation, from the Materials Project database.

Cell lengths 5.0731, 2.9152, 5.1185 Å; angles 90.00, 109.68, 90.00 degrees
Atoms (fractional coordinates):
Li: 0.0000 0.0000 0.0000
Li: 0.0000 0.5000 0.5000
Mn: 0.5000 0.0000 0.5000
Ni: 0.5000 0.5000 0.0000
O: 0.2731 0.5000 0.2752
O: 0.2748 0.0000 0.7364
O: 0.7252 0.0000 0.2636
O: 0.7269 0.5000 0.7248

## Properties
Raw total energy   -5.85 eV per atom
Energy above the most stable polymorph in this dataset   0.8 kJ per mole of atoms
Space group   P2/m, No. 10

=====

The following is a GGA+U calculation of Li5Mn2Ni5O12 after structural relaxation, from the Materials Project database.

Cell lengths 5.0817, 5.0817, 9.6719 Å; angles 95.23, 95.23, 121.00 degrees
Atoms (fractional coordinates):
Li: 0.0000 0.0000 0.0000
Li: 0.2493 0.2485 0.7580
Li: 0.4142 0.0788 0.2407
Li: 0.7515 0.7507 0.2420
Li: 0.9212 0.5858 0.7593
Mn: 0.3373 0.6627 0.0000
Mn: 0.8330 0.1670 0.5000
Ni: 0.0799 0.4044 0.2434
Ni: 0.1645 0.8355 0.5000
Ni: 0.5013 0.4987 0.5000
Ni: 0.5956 0.9201 0.7566
Ni: 0.6674 0.3326 0.0000
O: 0.0578 0.6927 0.1199
O: 0.1039 0.1279 0.3805
O: 0.1984 0.5295 0.6157
O: 0.3073 0.9422 0.8801
O: 0.3741 0.3935 0.1193
O: 0.4705 0.8016 0.3843
O: 0.5606 0.2068 0.6182
O: 0.6065 0.6259 0.8807
O: 0.6884 0.0244 0.1183
O: 0.7932 0.4394 0.3818
O: 0.8721 0.8961 0.6195
O: 0.9756 0.3116 0.8817

## Properties
Raw total energy   -5.55 eV per atom
Space group   C2, No. 5

=====

The following is a GGA+U calculation of Li2Mn2NiO6 after structural relaxation, from the Materials Project database.

Cell lengths 6.5952, 6.6450, 8.3377 Å; angles 70.04, 70.80, 82.85 degrees
Atoms (fractional coordinates):
Li: 0.9999 0.1649 0.3350
Li: 0.0001 0.8351 0.6650
Li: 0.3200 0.5002 0.6675
Li: 0.3206 0.1636 0.0041
Li: 0.6794 0.8364 0.9959
Li: 0.6800 0.4998 0.3325
Mn: 0.3254 0.8349 0.8352
Mn: 0.3272 0.5029 0.1691
Mn: 0.3309 0.1653 0.5012
Mn: 0.6691 0.8347 0.4988
Mn: 0.6728 0.4971 0.8309
Mn: 0.6746 0.1651 0.1648
Ni: 0.0000 0.5000 0.5000
Ni: 0.0036 0.8303 0.1677
Ni: 0.9964 0.1697 0.8323
O: 0.0263 0.8449 0.9093
O: 0.0273 0.5035 0.2524
O: 0.0361 0.1685 0.5737
O: 0.3294 0.1449 0.7394
O: 0.3390 0.8139 0.0656
O: 0.3413 0.4708 0.4069
O: 0.3475 0.8510 0.5939
O: 0.3501 0.1929 0.2526
O: 0.3542 0.5180 0.9216
O: 0.6458 0.4820 0.0784
O: 0.6499 0.8071 0.7474
O: 0.6525 0.1490 0.4061
O: 0.6587 0.5292 0.5931
O: 0.6610 0.1861 0.9344
O: 0.6706 0.8551 0.2606
O: 0.9639 0.8315 0.4263
O: 0.9727 0.4965 0.7476
O: 0.9737 0.1551 0.0907

## Properties
Raw total energy   -6.21 eV per atom
Energy above the most stable polymorph in this dataset   0.0 kJ per mole of atoms
Space group   P-1, No. 2

=====

The following is a GGA+U calculation of Li8MnNi7O16 after structural relaxation, from the Materials Project database.

Cell lengths 6.5185, 6.6146, 7.6071 Å; angles 64.59, 75.45, 72.57 degrees
Atoms (fractional coordinates):
Li: 0.0570 0.4381 0.1879
Li: 0.1946 0.3073 0.5627
Li: 0.3126 0.1850 0.9338
Li: 0.4329 0.0593 0.3103
Li: 0.5671 0.9407 0.6897
Li: 0.6874 0.8150 0.0662
Li: 0.8054 0.6927 0.4373
Li: 0.9430 0.5619 0.8121
Mn: 0.5000 0.5000 0.0000
Ni: 0.0000 0.0000 0.5000
Ni: 0.1216 0.8786 0.8737
Ni: 0.2508 0.7515 0.2504
Ni: 0.3762 0.6249 0.6257
Ni: 0.6238 0.3751 0.3743
Ni: 0.7492 0.2485 0.7496
Ni: 0.8784 0.1214 0.1263
O: 0.0200 0.2094 0.8644
O: 0.1018 0.6815 0.5349
O: 0.1386 0.0868 0.2331
O: 0.2417 0.5346 0.8984
O: 0.2499 0.9712 0.6037
O: 0.3644 0.4109 0.2731
O: 0.4057 0.8225 0.9660
O: 0.4784 0.2887 0.6358
O: 0.5216 0.7113 0.3642
O: 0.5943 0.1775 0.0340
O: 0.6356 0.5891 0.7269
O: 0.7501 0.0288 0.3963
O: 0.7583 0.4654 0.1016
O: 0.8614 0.9132 0.7669
O: 0.8982 0.3185 0.4651
O: 0.9800 0.7906 0.1356

## Properties
Raw total energy   -5.15 eV per atom
Space group   P-1, No. 2

=====

The following is a GGA+U calculation of Li3Mn3NiO8 after structural relaxation, from the Materials Project database.

Cell lengths 5.8108, 5.8108, 9.4956 Å; angles 90.32, 90.32, 119.14 degrees
Atoms (fractional coordinates):
Li: 0.0833 0.4300 0.5001
Li: 0.0860 0.9140 0.5000
Li: 0.4300 0.0833 0.0001
Li: 0.4328 0.6110 0.0002
Li: 0.6110 0.4328 0.5002
Li: 0.9140 0.0860 0.0000
Mn: 0.0938 0.9262 0.2293
Mn: 0.0949 0.4292 0.2302
Mn: 0.4292 0.0949 0.7302
Mn: 0.4292 0.5968 0.7294
Mn: 0.5968 0.4292 0.2294
Mn: 0.9262 0.0938 0.7293
Ni: 0.5975 0.9323 0.4509
Ni: 0.9323 0.5975 0.9509
O: 0.1110 0.4241 0.8406
O: 0.1114 0.9525 0.8437
O: 0.2275 0.7403 0.1107
O: 0.2774 0.2924 0.1148
O: 0.2924 0.2774 0.6148
O: 0.2919 0.7783 0.6079
O: 0.4195 0.5781 0.3422
O: 0.4241 0.1110 0.3406
O: 0.5643 0.9133 0.8498
O: 0.5781 0.4195 0.8422
O: 0.7403 0.2275 0.6107
O: 0.7425 0.7735 0.6083
O: 0.7735 0.7425 0.1083
O: 0.7783 0.2919 0.1079
O: 0.9133 0.5643 0.3498
O: 0.9525 0.1114 0.3437

## Properties
Raw total energy   -5.55 eV per atom
Energy above the most stable polymorph in this dataset   75.9 kJ per mole of atoms
Space group   Cc, No. 9

=====

The following is a GGA+U calculation of Li2Mn3NiO8 after structural relaxation, from the Materials Project database.

Cell lengths 5.7974, 5.7974, 9.5829 Å; angles 90.00, 90.00, 120.00 degrees
Atoms (fractional coordinates):
Li: 0.0000 0.0000 0.0000
Li: 0.0000 0.0000 0.5000
Li: 0.3333 0.6667 0.3870
Li: 0.6667 0.3333 0.8870
Mn: 0.1687 0.3374 0.7163
Mn: 0.1687 0.8313 0.7163
Mn: 0.3374 0.1687 0.2163
Mn: 0.6626 0.8313 0.7163
Mn: 0.8313 0.1687 0.2163
Mn: 0.8313 0.6626 0.2163
Ni: 0.3333 0.6667 0.9904
Ni: 0.6667 0.3333 0.4904
O: 0.0000 0.0000 0.3132
O: 0.0000 0.0000 0.8132
O: 0.0351 0.5175 0.8318
O: 0.1585 0.3170 0.1082
O: 0.1585 0.8415 0.1082
O: 0.3170 0.1585 0.6082
O: 0.3333 0.6667 0.6100
O: 0.4825 0.5175 0.8318
O: 0.4825 0.9649 0.8318
O: 0.5175 0.0351 0.3318
O: 0.5175 0.4825 0.3318
O: 0.6667 0.3333 0.1100
O: 0.6830 0.8415 0.1082
O: 0.8415 0.1585 0.6082
O: 0.8415 0.6830 0.6082
O: 0.9649 0.4825 0.3318

## Properties
Maximum piezoelectric response   0.303 C/m2
Raw total energy   -6.45 eV per atom
Energy above the most stable polymorph in this dataset   4.5 kJ per mole of atoms
Space group   P6_3mc, No. 186

=====

The following is a GGA+U calculation of Li3Mn3NiO8 after structural relaxation, from the Materials Project database.

Cell lengths 5.6969, 5.6969, 9.5396 Å; angles 90.00, 90.00, 120.00 degrees
Atoms (fractional coordinates):
Li: 0.1724 0.3448 0.0000
Li: 0.1724 0.8276 0.0000
Li: 0.3448 0.1724 0.5000
Li: 0.6552 0.8276 0.0000
Li: 0.8276 0.1724 0.5000
Li: 0.8276 0.6552 0.5000
Mn: 0.1668 0.3335 0.7312
Mn: 0.1668 0.8332 0.7312
Mn: 0.3335 0.1668 0.2312
Mn: 0.6665 0.8332 0.7312
Mn: 0.8332 0.1668 0.2312
Mn: 0.8332 0.6665 0.2312
Ni: 0.3333 0.6667 0.4561
Ni: 0.6667 0.3333 0.9561
O: 0.0000 0.0000 0.1228
O: 0.0000 0.0000 0.6228
O: 0.0281 0.5140 0.6091
O: 0.1591 0.3182 0.3439
O: 0.1591 0.8409 0.3439
O: 0.3182 0.1591 0.8439
O: 0.3333 0.6667 0.8425
O: 0.4860 0.5140 0.6091
O: 0.4860 0.9719 0.6091
O: 0.5140 0.0281 0.1091
O: 0.5140 0.4860 0.1091
O: 0.6667 0.3333 0.3425
O: 0.6818 0.8409 0.3439
O: 0.8409 0.1591 0.8439
O: 0.8409 0.6818 0.8439
O: 0.9719 0.4860 0.1091

## Properties
Raw total energy   -6.24 eV per atom
Energy above the most stable polymorph in this dataset   9.8 kJ per mole of atoms
Space group   P6_3mc, No. 186

=====

The following is a GGA+U calculation of Li2MnNiO4 after structural relaxation, from the Materials Project database.

Cell lengths 5.1758, 5.1758, 5.7360 Å; angles 90.00, 90.00, 112.68 degrees
Atoms (fractional coordinates):
Li: 0.0000 0.0000 0.0000
Li: 0.0000 0.5000 0.7502
Li: 0.5000 0.0000 0.2498
Li: 0.5000 0.5000 0.5000
Mn: 0.0000 0.0000 0.5000
Mn: 0.5000 0.5000 0.0000
Ni: 0.0000 0.5000 0.2482
Ni: 0.5000 0.0000 0.7518
O: 0.2221 0.7779 0.5000
O: 0.2487 0.2699 0.2406
O: 0.2699 0.2487 0.7594
O: 0.2764 0.7236 0.0000
O: 0.7236 0.2764 0.0000
O: 0.7301 0.7513 0.7594
O: 0.7513 0.7301 0.2406
O: 0.7779 0.2221 0.5000

## Properties
Raw total energy   -5.81 eV per atom
Energy above the most stable polymorph in this dataset   4.7 kJ per mole of atoms
Space group   C222, No. 21

=====

The following is a GGA+U calculation of Li3Mn2Ni5O12 after structural relaxation, from the Materials Project database.

Cell lengths 5.0544, 5.0544, 9.7819 Å; angles 95.29, 95.29, 121.47 degrees
Atoms (fractional coordinates):
Li: 0.0000 0.0000 0.0000
Li: 0.4067 0.0897 0.2451
Li: 0.9103 0.5933 0.7549
Mn: 0.3394 0.6606 0.0000
Mn: 0.8318 0.1682 0.5000
Ni: 0.0842 0.4109 0.2465
Ni: 0.1624 0.8376 0.5000
Ni: 0.4971 0.5029 0.5000
Ni: 0.5891 0.9158 0.7535
Ni: 0.6632 0.3368 0.0000
O: 0.0472 0.6736 0.1110
O: 0.1368 0.1590 0.3893
O: 0.2018 0.5384 0.6136
O: 0.3264 0.9528 0.8890
O: 0.3763 0.3830 0.1085
O: 0.4616 0.7982 0.3864
O: 0.5705 0.2110 0.6142
O: 0.6170 0.6237 0.8915
O: 0.6842 0.0585 0.1114
O: 0.7890 0.4295 0.3858
O: 0.8410 0.8632 0.6107
O: 0.9415 0.3158 0.8886

## Properties
Raw total energy   -5.52 eV per atom
Space group   C2, No. 5

=====

The following is a GGA+U calculation of Li3Mn3NiO8 after structural relaxation, from the Materials Project database.

Cell lengths 5.7751, 5.8852, 5.9333 Å; angles 119.46, 118.86, 90.26 degrees
Atoms (fractional coordinates):
Li: 0.0000 0.0000 0.0000
Li: 0.0000 0.5000 0.5000
Li: 0.5000 0.0000 0.0000
Mn: 0.0000 0.0000 0.5000
Mn: 0.5000 0.0000 0.5000
Mn: 0.5000 0.5000 0.0000
Ni: 0.0000 0.5000 0.0000
O: 0.2361 0.2412 0.9477
O: 0.2370 0.2090 0.4785
O: 0.2437 0.7766 0.4953
O: 0.2834 0.7580 0.0431
O: 0.7166 0.2420 0.9569
O: 0.7563 0.2234 0.5047
O: 0.7630 0.7910 0.5215
O: 0.7639 0.7588 0.0523

## Properties
Raw total energy   -6.34 eV per atom
Energy above the most stable polymorph in this dataset   0.0 kJ per mole of atoms
Space group   P-1, No. 2

=====

The following is a GGA+U calculation of Li3Mn2NiO6 after structural relaxation, from the Materials Project database.

Cell lengths 6.5340, 6.5340, 5.9813 Å; angles 103.49, 103.49, 26.52 degrees
Atoms (fractional coordinates):
Li: 0.0000 0.0000 0.0000
Li: 0.3364 0.3364 0.6651
Li: 0.6636 0.6636 0.3349
Mn: 0.3350 0.3350 0.1719
Mn: 0.6650 0.6650 0.8281
Ni: 0.0000 0.0000 0.5000
O: 0.1684 0.1684 0.6051
O: 0.1747 0.1747 0.0704
O: 0.4886 0.4886 0.2498
O: 0.5114 0.5114 0.7502
O: 0.8253 0.8253 0.9296
O: 0.8316 0.8316 0.3949

## Properties
Raw total energy   -6.10 eV per atom
Space group   C2/m, No. 12

=====

The following is a GGA+U calculation of Li4MnNi4O10 after structural relaxation, from the Materials Project database.

Cell lengths 5.7742, 6.5289, 10.0167 Å; angles 96.98, 106.72, 102.78 degrees
Atoms (fractional coordinates):
Li: 0.0000 0.0000 0.0000
Li: 0.1072 0.5907 0.4046
Li: 0.2034 0.2091 0.7946
Li: 0.3031 0.7901 0.2043
Li: 0.5000 0.0000 0.0000
Li: 0.6969 0.2099 0.7957
Li: 0.7966 0.7909 0.2054
Li: 0.8928 0.4093 0.5954
Mn: 0.0000 0.0000 0.5000
Mn: 0.5000 0.0000 0.5000
Ni: 0.0999 0.5970 0.9031
Ni: 0.2061 0.2123 0.3035
Ni: 0.3006 0.7963 0.7032
Ni: 0.4043 0.4058 0.1033
Ni: 0.5957 0.5942 0.8967
Ni: 0.6994 0.2037 0.2968
Ni: 0.7939 0.7877 0.6965
Ni: 0.9001 0.4030 0.0969
O: 0.0170 0.2706 0.4398
O: 0.0468 0.3226 0.9560
O: 0.1507 0.8681 0.8500
O: 0.1604 0.9138 0.3642
O: 0.2175 0.4877 0.2296
O: 0.2353 0.5072 0.7690
O: 0.3397 0.0931 0.6349
O: 0.3720 0.1327 0.1545
O: 0.4310 0.6744 0.0427
O: 0.4428 0.7335 0.5600
O: 0.5572 0.2665 0.4400
O: 0.5690 0.3256 0.9573
O: 0.6280 0.8673 0.8455
O: 0.6603 0.9069 0.3651
O: 0.7647 0.4928 0.2310
O: 0.7825 0.5123 0.7704
O: 0.8396 0.0862 0.6358
O: 0.8493 0.1319 0.1500
O: 0.9532 0.6774 0.0440
O: 0.9830 0.7294 0.5602

## Properties
Raw total energy   -5.27 eV per atom
Space group   P-1, No. 2

=====

Number 1: mass density 4.46 g cm⁻³. Number 2: mass density 4.97 g cm⁻³. Number 3: mass density 4.28 g cm⁻³. Number 4: mass density 4.61 g cm⁻³. Number 5: mass density 4.42 g cm⁻³. Number 6: mass density 4.35 g cm⁻³. Number 7: mass density 4.61 g cm⁻³. Number 8: mass density 4.49 g cm⁻³. Number 9: mass density 4.89 g cm⁻³. Number 10: mass density 4.24 g cm⁻³. Number 11: mass density 4.28 g cm⁻³. Number 12: mass density 4.59 g cm⁻³.